Record 1
Zr3ZnN | meta-GGA r2SCAN | optimized geometry

Summary:
formation enthalpy at 0 K: -1030 meV per atom
total moment: 0.00 μB/f.u.

The structure in CIF format:
```
data_Zr3ZnN
_chemical_formula_sum 'Zr12 Zn4 N4'
_cell_length_a 3.3544
_cell_length_b 11.4847
_cell_length_c 8.8891
_cell_angle_alpha 90.00
_cell_angle_beta 90.00
_cell_angle_gamma 90.00
_space_group_name_H-M_alt 'C m c m'
_space_group_IT_number 63
_space_group_name_Hall '-C 2c 2'
loop_
_atom_site_label
_atom_site_fract_x
_atom_site_fract_y
_atom_site_fract_z
Zr1 0.0000 0.0502 0.2500
Zr2 0.0000 0.3736 0.0491
Zn1 0.0000 0.2553 0.7500
N1 0.0000 0.0000 0.0000
```


Record 2
CaSO4 | meta-GGA r2SCAN | optimized geometry

Summary:
formation enthalpy at 0 K: -2396 meV per atom
total moment: 0.00 μB/f.u.

The structure in CIF format:
```
data_CaSO4
_chemical_formula_sum 'Ca4 S4 O16'
_cell_length_a 6.3634
_cell_length_b 6.8810
_cell_length_c 8.0832
_cell_angle_alpha 90.00
_cell_angle_beta 126.67
_cell_angle_gamma 90.00
_space_group_name_H-M_alt 'P 1 21/c 1'
_space_group_IT_number 14
_space_group_name_Hall '-P 2ybc'
loop_
_atom_site_label
_atom_site_fract_x
_atom_site_fract_y
_atom_site_fract_z
Ca1 0.1833 0.1555 0.2796
S1 0.3100 0.6616 0.1965
O1 0.1298 0.6687 0.6202
O2 0.1950 0.5090 0.2478
O3 0.3319 0.6016 0.0323
O4 0.4228 0.2095 0.1253
```


Record 3
TbSb | meta-GGA r2SCAN | optimized geometry

Summary:
formation enthalpy at 0 K: -1389 meV per atom
total moment: 0.00 μB/f.u.

The structure in CIF format:
```
data_TbSb
_chemical_formula_sum 'Tb4 Sb4'
_cell_length_a 6.2174
_cell_length_b 6.2174
_cell_length_c 6.2174
_cell_angle_alpha 90.00
_cell_angle_beta 90.00
_cell_angle_gamma 90.00
_space_group_name_H-M_alt 'F m -3 m'
_space_group_IT_number 225
_space_group_name_Hall '-F 4 2 3'
loop_
_atom_site_label
_atom_site_fract_x
_atom_site_fract_y
_atom_site_fract_z
Tb1 0.0000 0.0000 0.0000
Sb1 0.0000 0.0000 0.5000
```


Record 4
Y3Cu3Sb4 | meta-GGA r2SCAN | optimized geometry

Summary:
formation enthalpy at 0 K: -824 meV per atom
total moment: 0.00 μB/f.u.

The structure in CIF format:
```
data_Y3Cu3Sb4
_chemical_formula_sum 'Y12 Cu12 Sb16'
_cell_length_a 9.5678
_cell_length_b 9.5678
_cell_length_c 9.5678
_cell_angle_alpha 90.00
_cell_angle_beta 90.00
_cell_angle_gamma 90.00
_space_group_name_H-M_alt 'I -4 3 d'
_space_group_IT_number 220
_space_group_name_Hall 'I -4bd 2c 3'
loop_
_atom_site_label
_atom_site_fract_x
_atom_site_fract_y
_atom_site_fract_z
Y1 0.0000 0.2500 0.8750
Cu1 0.0000 0.2500 0.3750
Sb1 0.0789 0.4211 0.5789
```


Record 5
Pr5Pb3 | meta-GGA r2SCAN | optimized geometry

Summary:
formation enthalpy at 0 K: -706 meV per atom
total moment: 0.00 μB/f.u.

The structure in CIF format:
```
data_Pr5Pb3
_chemical_formula_sum 'Pr10 Pb6'
_cell_length_a 9.4440
_cell_length_b 9.4440
_cell_length_c 6.9961
_cell_angle_alpha 90.00
_cell_angle_beta 90.00
_cell_angle_gamma 120.00
_space_group_name_H-M_alt 'P 63/m c m'
_space_group_IT_number 193
_space_group_name_Hall '-P 6c 2'
loop_
_atom_site_label
_atom_site_fract_x
_atom_site_fract_y
_atom_site_fract_z
Pr1 0.0000 0.2407 0.2500
Pr2 0.3333 0.6667 0.0000
Pb1 0.0000 0.3931 0.7500
```


Record 6
PrTl | meta-GGA r2SCAN | optimized geometry

Summary:
formation enthalpy at 0 K: -504 meV per atom
total moment: 0.00 μB/f.u.

The structure in CIF format:
```
data_PrTl
_chemical_formula_sum 'Pr1 Tl1'
_cell_length_a 3.9156
_cell_length_b 3.9156
_cell_length_c 3.9156
_cell_angle_alpha 90.00
_cell_angle_beta 90.00
_cell_angle_gamma 90.00
_space_group_name_H-M_alt 'P m -3 m'
_space_group_IT_number 221
_space_group_name_Hall '-P 4 2 3'
loop_
_atom_site_label
_atom_site_fract_x
_atom_site_fract_y
_atom_site_fract_z
Pr1 0.0000 0.0000 0.0000
Tl1 0.5000 0.5000 0.5000
```


Record 7
Li2Pd | meta-GGA r2SCAN | optimized geometry

Summary:
formation enthalpy at 0 K: -360 meV per atom
total moment: 0.00 μB/f.u.

The structure in CIF format:
```
data_Li2Pd
_chemical_formula_sum 'Li2 Pd1'
_cell_length_a 4.2051
_cell_length_b 4.2051
_cell_length_c 2.6799
_cell_angle_alpha 90.00
_cell_angle_beta 90.00
_cell_angle_gamma 120.00
_space_group_name_H-M_alt 'P 6/m m m'
_space_group_IT_number 191
_space_group_name_Hall '-P 6 2'
loop_
_atom_site_label
_atom_site_fract_x
_atom_site_fract_y
_atom_site_fract_z
Li1 0.3333 0.6667 0.0000
Pd1 0.0000 0.0000 0.5000
```


Record 8
Ba2CdSn | meta-GGA r2SCAN | optimized geometry

Summary:
formation enthalpy at 0 K: -565 meV per atom
total moment: 0.00 μB/f.u.

The structure in CIF format:
```
data_Ba2CdSn
_chemical_formula_sum 'Ba8 Cd4 Sn4'
_cell_length_a 8.4999
_cell_length_b 8.4999
_cell_length_c 8.4999
_cell_angle_alpha 90.00
_cell_angle_beta 90.00
_cell_angle_gamma 90.00
_space_group_name_H-M_alt 'F m -3 m'
_space_group_IT_number 225
_space_group_name_Hall '-F 4 2 3'
loop_
_atom_site_label
_atom_site_fract_x
_atom_site_fract_y
_atom_site_fract_z
Ba1 0.2500 0.2500 0.2500
Cd1 0.0000 0.0000 0.0000
Sn1 0.0000 0.0000 0.5000
```


Record 9
ThSbRh | meta-GGA r2SCAN | optimized geometry

Summary:
formation enthalpy at 0 K: -1178 meV per atom
total moment: 0.00 μB/f.u.

The structure in CIF format:
```
data_ThSbRh
_chemical_formula_sum 'Th4 Sb4 Rh4'
_cell_length_a 6.7072
_cell_length_b 6.7072
_cell_length_c 6.7072
_cell_angle_alpha 90.00
_cell_angle_beta 90.00
_cell_angle_gamma 90.00
_space_group_name_H-M_alt 'F -4 3 m'
_space_group_IT_number 216
_space_group_name_Hall 'F -4 2 3'
loop_
_atom_site_label
_atom_site_fract_x
_atom_site_fract_y
_atom_site_fract_z
Th1 0.0000 0.0000 0.0000
Sb1 0.0000 0.0000 0.5000
Rh1 0.2500 0.2500 0.2500
```


Record 10
V5Se8 | meta-GGA r2SCAN | optimized geometry

Summary:
formation enthalpy at 0 K: -944 meV per atom
total moment: 2.03 μB/f.u.

The structure in CIF format:
```
data_V5Se8
_chemical_formula_sum 'V10 Se16'
_cell_length_a 11.9327
_cell_length_b 7.0942
_cell_length_c 8.4480
_cell_angle_alpha 90.00
_cell_angle_beta 133.05
_cell_angle_gamma 90.00
_space_group_name_H-M_alt 'C 1 2/m 1'
_space_group_IT_number 12
_space_group_name_Hall '-C 2y'
loop_
_atom_site_label
_atom_site_fract_x
_atom_site_fract_y
_atom_site_fract_z
V1 0.0000 0.0000 0.0000
V2 0.0000 0.2804 0.5000
V3 0.2403 0.5000 0.9920
Se1 0.0289 0.0000 0.3320
Se2 0.0489 0.5000 0.3300
Se3 0.2095 0.2455 0.1717
```


Record 11
TiAs2O7 | meta-GGA r2SCAN | optimized geometry

Summary:
E above lowest polymorph: 5 meV per atom
formation enthalpy at 0 K: -1884 meV per atom
total moment: 0.00 μB/f.u.

The structure in CIF format:
```
data_TiAs2O7
_chemical_formula_sum 'Ti4 As8 O28'
_cell_length_a 6.9086
_cell_length_b 7.9681
_cell_length_c 9.4872
_cell_angle_alpha 90.00
_cell_angle_beta 104.04
_cell_angle_gamma 90.00
_space_group_name_H-M_alt 'C 1 2/c 1'
_space_group_IT_number 15
_space_group_name_Hall '-C 2yc'
loop_
_atom_site_label
_atom_site_fract_x
_atom_site_fract_y
_atom_site_fract_z
Ti1 0.0000 0.0000 0.0000
As1 0.1947 0.3669 0.1988
O1 0.0000 0.4727 0.2500
O2 0.1057 0.1810 0.1305
O3 0.1284 0.1616 0.6464
O4 0.2416 0.0076 0.9237
```


Record 12
MgCd3 | meta-GGA r2SCAN | optimized geometry

Summary:
E above lowest polymorph: 19 meV per atom
formation enthalpy at 0 K: -42 meV per atom
total moment: 0.00 μB/f.u.

The structure in CIF format:
```
data_MgCd3
_chemical_formula_sum 'Mg1 Cd3'
_cell_length_a 3.2287
_cell_length_b 4.9700
_cell_length_c 5.3043
_cell_angle_alpha 90.00
_cell_angle_beta 90.00
_cell_angle_gamma 90.00
_space_group_name_H-M_alt 'P m m 2'
_space_group_IT_number 25
_space_group_name_Hall 'P 2 -2'
loop_
_atom_site_label
_atom_site_fract_x
_atom_site_fract_y
_atom_site_fract_z
Mg1 0.0000 0.0000 0.0000
Cd1 0.0000 0.5000 0.6695
Cd2 0.5000 0.0000 0.4955
Cd3 0.5000 0.5000 0.1635
```


Record 13
PdS2 | meta-GGA r2SCAN | optimized geometry

Summary:
formation enthalpy at 0 K: -338 meV per atom
total moment: 0.00 μB/f.u.

The structure in CIF format:
```
data_PdS2
_chemical_formula_sum 'Pd4 S8'
_cell_length_a 5.4830
_cell_length_b 5.5654
_cell_length_c 7.8802
_cell_angle_alpha 90.00
_cell_angle_beta 90.00
_cell_angle_gamma 90.00
_space_group_name_H-M_alt 'P b c a'
_space_group_IT_number 61
_space_group_name_Hall '-P 2ac 2ab'
loop_
_atom_site_label
_atom_site_fract_x
_atom_site_fract_y
_atom_site_fract_z
Pd1 0.0000 0.0000 0.0000
S1 0.1048 0.1104 0.4217
```


Record 14
TlCdF3 | meta-GGA r2SCAN | optimized geometry

Summary:
formation enthalpy at 0 K: -2224 meV per atom
total moment: 0.00 μB/f.u.

The structure in CIF format:
```
data_TlCdF3
_chemical_formula_sum 'Tl1 Cd1 F3'
_cell_length_a 4.4187
_cell_length_b 4.4193
_cell_length_c 4.4310
_cell_angle_alpha 89.95
_cell_angle_beta 89.88
_cell_angle_gamma 89.90
_space_group_name_H-M_alt 'P 1'
_space_group_IT_number 1
_space_group_name_Hall 'P 1'
loop_
_atom_site_label
_atom_site_fract_x
_atom_site_fract_y
_atom_site_fract_z
Tl1 0.0000 0.0000 0.0000
Cd1 0.4779 0.4744 0.4683
F1 0.4576 0.4484 0.9630
F2 0.4579 0.9706 0.4322
F3 0.9749 0.4494 0.4342
```


Record 15
NaHg3 | meta-GGA r2SCAN | optimized geometry

Summary:
formation enthalpy at 0 K: -213 meV per atom
total moment: 0.00 μB/f.u.

The structure in CIF format:
```
data_NaHg3
_chemical_formula_sum 'Na2 Hg6'
_cell_length_a 6.5946
_cell_length_b 6.5946
_cell_length_c 5.2149
_cell_angle_alpha 90.00
_cell_angle_beta 90.00
_cell_angle_gamma 120.00
_space_group_name_H-M_alt 'P 63/m m c'
_space_group_IT_number 194
_space_group_name_Hall '-P 6c 2c'
loop_
_atom_site_label
_atom_site_fract_x
_atom_site_fract_y
_atom_site_fract_z
Na1 0.3333 0.6667 0.2500
Hg1 0.1663 0.3326 0.7500
```


Record 16
PrSiRu | meta-GGA r2SCAN | optimized geometry

Summary:
formation enthalpy at 0 K: -813 meV per atom
total moment: 0.00 μB/f.u.

The structure in CIF format:
```
data_PrSiRu
_chemical_formula_sum 'Pr2 Si2 Ru2'
_cell_length_a 4.2254
_cell_length_b 4.2254
_cell_length_c 7.0512
_cell_angle_alpha 90.00
_cell_angle_beta 90.00
_cell_angle_gamma 90.00
_space_group_name_H-M_alt 'P 4/n m m'
_space_group_IT_number 129
loop_
_space_group_symop_operation_xyz
'x,y,z'
'-x,-y,-z'
'-y+1/2,x,z'
'y+1/2,-x,-z'
'-x+1/2,-y+1/2,z'
'x+1/2,y+1/2,-z'
'y,-x+1/2,z'
'-y,x+1/2,-z'
'x+1/2,-y,-z'
'-x+1/2,y,z'
'-y,-x,-z'
'y,x,z'
'-x,y+1/2,-z'
'x,-y+1/2,z'
'y+1/2,x+1/2,-z'
'-y+1/2,-x+1/2,z'
loop_
_atom_site_label
_atom_site_fract_x
_atom_site_fract_y
_atom_site_fract_z
Pr1 0.2500 0.2500 0.1821
Si1 0.2500 0.2500 0.6677
Ru1 0.2500 0.7500 0.5000
```


Record 17
SiO2 | meta-GGA r2SCAN | optimized geometry

Summary:
formation enthalpy at 0 K: -2996 meV per atom
total moment: 0.00 μB/f.u.

The structure in CIF format:
```
data_SiO2
_chemical_formula_sum 'Si96 O192'
_cell_length_a 19.0879
_cell_length_b 19.0879
_cell_length_c 19.0879
_cell_angle_alpha 90.00
_cell_angle_beta 90.00
_cell_angle_gamma 90.00
_space_group_name_H-M_alt 'F m -3 m'
_space_group_IT_number 225
_space_group_name_Hall '-F 4 2 3'
loop_
_atom_site_label
_atom_site_fract_x
_atom_site_fract_y
_atom_site_fract_z
Si1 0.0809 0.1907 0.1907
O1 0.0000 0.1744 0.1744
O2 0.0869 0.2500 0.2500
O3 0.1199 0.1199 0.2169
```


Record 18
EuSnPd | meta-GGA r2SCAN | optimized geometry

Summary:
formation enthalpy at 0 K: -857 meV per atom
total moment: 7.00 μB/f.u.

The structure in CIF format:
```
data_EuSnPd
_chemical_formula_sum 'Eu4 Sn4 Pd4'
_cell_length_a 7.5690
_cell_length_b 4.7541
_cell_length_c 7.9418
_cell_angle_alpha 90.00
_cell_angle_beta 90.00
_cell_angle_gamma 90.00
_space_group_name_H-M_alt 'P n m a'
_space_group_IT_number 62
_space_group_name_Hall '-P 2ac 2n'
loop_
_atom_site_label
_atom_site_fract_x
_atom_site_fract_y
_atom_site_fract_z
Eu1 0.0213 0.2500 0.1883
Sn1 0.1701 0.2500 0.5794
Pd1 0.2009 0.7500 0.4021
```


Record 19
GdIn | meta-GGA r2SCAN | optimized geometry

Summary:
formation enthalpy at 0 K: -565 meV per atom
total moment: 7.56 μB/f.u.

The structure in CIF format:
```
data_GdIn
_chemical_formula_sum 'Gd1 In1'
_cell_length_a 3.7997
_cell_length_b 3.7997
_cell_length_c 3.7997
_cell_angle_alpha 90.00
_cell_angle_beta 90.00
_cell_angle_gamma 90.00
_space_group_name_H-M_alt 'P m -3 m'
_space_group_IT_number 221
_space_group_name_Hall '-P 4 2 3'
loop_
_atom_site_label
_atom_site_fract_x
_atom_site_fract_y
_atom_site_fract_z
Gd1 0.0000 0.0000 0.0000
In1 0.5000 0.5000 0.5000
```